Record 1
Entry from the Materials Project: a geometry-optimized Cs2KTlI6 structure (GGA-PBE).

It has space group Fm-3m (No. 225), with a = 12.812 Å, b = 12.812 Å, c = 12.812 Å, α = 90.00°, β = 90.00° and γ = 90.00°. Symmetry generates all atoms from Cs at (0.250, 0.250, 0.250), K at (0.000, 0.000, 0.000), Tl at (0.000, 0.000, 0.500) and I at (0.000, 0.000, 0.264).

As for the crystal system: cubic. The formation energy is -117 kJ per mole of atoms.



Record 2
Entry from the Materials Project: a geometry-optimized Cs2KYI6 structure (GGA-PBE).

It has space group Fm-3m (No. 225), with a = 12.821 Å, b = 12.821 Å, c = 12.821 Å, α = 90.00°, β = 90.00° and γ = 90.00°. Symmetry generates all atoms from Cs at (0.250, 0.250, 0.250), K at (0.000, 0.000, 0.000), Y at (0.000, 0.000, 0.500) and I at (0.000, 0.000, 0.264).

As for the crystal system: cubic. The formation energy is -166 kJ per mole of atoms.



Record 3
Entry from the Materials Project: a geometry-optimized Cs3LaI6 structure (GGA-PBE).

It has space group P4_2/m (No. 84), with a = 10.854 Å, b = 10.854 Å, c = 9.023 Å, α = 90.00°, β = 90.00° and γ = 90.00°. Symmetry generates all atoms from Cs at (0.000, 0.000, 0.000), Cs at (0.233, 0.588, 0.000), La at (0.000, 0.500, 0.500), I at (0.062, 0.301, 0.251) and I at (0.283, 0.571, 0.500).

As for the crystal system: tetragonal. The formation energy is -174 kJ per mole of atoms.